# 1
HfAgB, optimized geometry, DFT PBE-GGA; VASP energy = -5.581 eV per atom; DFT formation energy = 0.91 eV/atom
1.0
0.000 3.020 3.020
3.020 0.000 3.020
3.020 3.020 0.000
Hf Ag B
1 1 1
Cartesian
0.000 0.000 0.000
4.530 4.530 4.530
1.510 1.510 1.510



# 2
Nd2Co3Ge5, optimized geometry, DFT PBE-GGA; VASP energy = -5.980 eV per atom; offset from the most stable computed form = 0 meV/atom; DFT formation energy = -0.58 eV/atom
1.0
5.651 -5.963 0.000
5.651 5.963 0.000
-2.929 0.000 5.064
Nd Co Ge
4 6 10
Cartesian
1.962 1.629 1.185
0.498 -1.629 3.717
7.875 1.629 1.347
6.411 -1.629 3.879
3.379 4.312 1.943
6.458 4.312 0.589
4.918 0.041 1.266
3.454 -0.041 3.798
1.914 -4.312 4.476
4.994 -4.312 3.121
3.454 5.890 3.798
1.363 1.131 4.218
3.454 2.749 3.798
4.918 2.636 1.266
2.827 -1.131 1.686
5.545 1.131 3.378
3.454 -2.636 3.798
4.918 -2.749 1.266
7.010 -1.131 0.846
4.918 -5.890 1.266



# 3
SrICl, optimized geometry, DFT PBE-GGA; VASP energy = -3.758 eV per atom; DFT formation energy = -2.28 eV/atom
1.0
8.448 0.000 0.000
0.000 4.539 0.000
0.000 0.000 10.342
Sr I Cl
4 4 4
Cartesian
1.575 1.135 1.340
2.649 3.404 6.511
5.799 1.135 3.831
6.873 3.404 9.002
0.014 1.135 6.989
4.210 3.404 1.818
4.238 1.135 8.524
8.434 3.404 3.353
1.292 3.404 9.826
2.932 1.135 4.655
5.516 3.404 5.687
7.157 1.135 0.516



# 4
KPrTe2, optimized geometry, DFT PBE-GGA; VASP energy = -4.460 eV per atom; DFT formation energy = -1.63 eV/atom
1.0
2.328 1.344 8.266
-2.328 1.344 8.266
0.000 -2.688 8.266
K Pr Te
1 1 2
Cartesian
0.000 0.000 0.000
0.000 0.000 12.398
0.000 0.000 5.916
0.000 0.000 18.881



# 5
Rb2HgBiCl6, optimized geometry, DFT PBE-GGA; VASP energy = -2.955 eV per atom; DFT formation energy = -1.60 eV/atom
1.0
0.000 5.591 5.591
5.591 0.000 5.591
5.591 5.591 0.000
Rb Hg Bi Cl
2 1 1 6
Cartesian
2.796 2.796 2.796
8.387 8.387 8.387
0.000 0.000 0.000
5.591 5.591 5.591
5.591 5.591 2.872
5.591 2.872 5.591
8.311 5.591 5.591
2.872 5.591 5.591
5.591 8.311 5.591
5.591 5.591 8.311



# 6
Ba2PrNbO6, optimized geometry, DFT PBE-GGA; VASP energy = -7.784 eV per atom; DFT formation energy = -3.36 eV/atom
1.0
3.094 1.786 4.985
-3.094 1.786 4.985
0.000 -3.573 4.985
Ba Pr Nb O
2 1 1 6
Cartesian
0.000 0.000 3.727
0.000 0.000 11.229
0.000 0.000 7.478
0.000 0.000 0.000
-1.861 0.663 6.152
-1.505 -1.281 8.804
0.357 -1.943 6.152
-0.357 1.943 8.804
1.505 1.281 6.152
1.861 -0.663 8.804



# 7
EuTlS2, optimized geometry, DFT PBE-GGA; VASP energy = -6.412 eV per atom; DFT formation energy = -1.44 eV/atom
1.0
2.096 1.210 7.335
-2.096 1.210 7.335
0.000 -2.420 7.335
Eu Tl S
1 1 2
Cartesian
0.000 0.000 0.000
0.000 0.000 11.003
0.000 0.000 5.811
0.000 0.000 16.195



# 8
Li3Fe2S4, optimized geometry, DFT PBE-GGA; VASP energy = -5.097 eV per atom; offset from the most stable computed form = 19 meV/atom; DFT formation energy = -0.96 eV/atom
1.0
6.459 0.000 0.000
0.000 11.062 0.000
0.000 0.000 9.217
Li Fe S
12 8 16
Cartesian
0.410 2.765 0.572
0.698 6.079 1.483
0.698 10.514 1.483
2.532 0.548 6.092
2.532 4.983 6.092
2.820 8.296 5.180
3.640 2.765 4.037
3.928 6.079 3.126
3.928 10.514 3.126
5.762 0.548 7.734
5.762 4.983 7.734
6.049 8.296 8.646
0.239 1.403 4.370
0.239 4.128 4.370
2.991 6.934 8.979
2.991 9.659 8.979
3.469 1.403 0.238
3.469 4.128 0.238
6.220 6.934 4.847
6.220 9.659 4.847
0.679 8.296 6.377
1.549 5.921 3.826
1.549 10.671 3.826
1.591 2.765 5.574
1.639 8.296 0.965
1.681 0.390 8.435
1.681 5.140 8.435
2.551 2.765 1.768
3.909 8.296 7.449
4.778 5.921 0.783
4.778 10.671 0.783
4.821 2.765 8.252
4.868 8.296 3.643
4.911 0.390 5.392
4.911 5.140 5.392
5.781 2.765 2.841



Q: Among the records above, which one has the highest VASP energy?
A: Rb2HgBiCl6



Q: Among the records above, which one has the lowest VASP energy?
A: Ba2PrNbO6